Record 1
{
  "formula": "KTlO2",
  "functional": "PBE",
  "state": "relaxed",
  "lattice": [[1.753, 1.012, 6.182], [-1.753, 1.012, 6.182], [0.000, -2.024, 6.182]],
  "species": ["K", "Tl", "O", "O"],
  "frac_coords": [[0.000, 0.000, 0.000], [0.500, 0.500, 0.500], [0.232, 0.232, 0.232], [0.768, 0.768, 0.768]],
  "formation_energy_kj_per_mol_fu": -537,
  "sg": "R-3m (166)",
  "volume_a3_per_cell": 66,
  "energy_corrected_mp2020_ev_per_atom": -4.73,
  "total_energy_ev_per_atom": -4.39
}

Record 2
{
  "formula": "Sc5Si7Pt9",
  "functional": "PBE",
  "state": "relaxed",
  "lattice": [[10.030, 0.000, 0.000], [-5.015, 8.686, 0.000], [0.000, 0.000, 3.916]],
  "species": ["Sc", "Sc", "Sc", "Sc", "Sc", "Si", "Si", "Si", "Si", "Si", "Si", "Si", "Pt", "Pt", "Pt", "Pt", "Pt", "Pt", "Pt", "Pt", "Pt"],
  "frac_coords": [[0.000, 0.000, 0.000], [0.208, 0.771, 0.000], [0.229, 0.437, 0.000], [0.563, 0.792, 0.000], [0.667, 0.333, 0.500], [0.019, 0.239, 0.500], [0.220, 0.981, 0.500], [0.333, 0.667, 0.500], [0.477, 0.383, 0.000], [0.617, 0.094, 0.000], [0.761, 0.780, 0.500], [0.906, 0.523, 0.000], [0.049, 0.505, 0.500], [0.251, 0.233, 0.500], [0.385, 0.116, 0.000], [0.456, 0.951, 0.500], [0.495, 0.544, 0.500], [0.731, 0.615, 0.000], [0.767, 0.018, 0.500], [0.884, 0.269, 0.000], [0.982, 0.749, 0.500]],
  "formation_energy_kj_per_mol_fu": -2248,
  "sg": "P-6 (174)",
  "volume_a3_per_cell": 341,
  "total_energy_ev_per_atom": -7.03
}

Record 3
{
  "formula": "P2PdPbO7",
  "functional": "PBE",
  "state": "relaxed",
  "lattice": [[13.669, 0.000, 0.000], [0.000, 6.134, 0.000], [0.000, 0.000, 7.486]],
  "species": ["P", "P", "P", "P", "P", "P", "P", "P", "Pd", "Pd", "Pd", "Pd", "Pb", "Pb", "Pb", "Pb", "O", "O", "O", "O", "O", "O", "O", "O", "O", "O", "O", "O", "O", "O", "O", "O", "O", "O", "O", "O", "O", "O", "O", "O", "O", "O", "O", "O"],
  "frac_coords": [[0.088, 0.250, 0.178], [0.122, 0.750, 0.784], [0.378, 0.250, 0.284], [0.412, 0.750, 0.678], [0.588, 0.250, 0.322], [0.622, 0.750, 0.716], [0.878, 0.250, 0.216], [0.912, 0.750, 0.822], [0.000, 0.000, 0.500], [0.000, 0.500, 0.500], [0.500, 0.000, 0.000], [0.500, 0.500, 0.000], [0.243, 0.750, 0.241], [0.257, 0.250, 0.741], [0.743, 0.750, 0.259], [0.757, 0.250, 0.759], [0.023, 0.750, 0.904], [0.095, 0.037, 0.291], [0.095, 0.463, 0.291], [0.119, 0.540, 0.666], [0.119, 0.960, 0.666], [0.160, 0.250, 0.028], [0.208, 0.750, 0.908], [0.292, 0.250, 0.408], [0.340, 0.750, 0.528], [0.381, 0.040, 0.166], [0.381, 0.460, 0.166], [0.405, 0.537, 0.791], [0.405, 0.963, 0.791], [0.477, 0.250, 0.404], [0.523, 0.750, 0.596], [0.595, 0.037, 0.209], [0.595, 0.463, 0.209], [0.619, 0.540, 0.834], [0.619, 0.960, 0.834], [0.660, 0.250, 0.472], [0.708, 0.750, 0.592], [0.792, 0.250, 0.092], [0.840, 0.750, 0.972], [0.881, 0.040, 0.334], [0.881, 0.460, 0.334], [0.905, 0.537, 0.709], [0.905, 0.963, 0.709], [0.977, 0.250, 0.096]],
  "formation_energy_kj_per_mol_fu": -2324,
  "sg": "Pnma (62)",
  "volume_a3_per_cell": 628,
  "energy_corrected_mp2020_ev_per_atom": -7.13,
  "total_energy_ev_per_atom": -6.69
}

Record 4
{
  "formula": "NdS2",
  "functional": "PBE",
  "state": "relaxed",
  "lattice": [[8.146, 0.000, 0.000], [0.000, 4.049, 0.000], [-0.018, 0.000, 8.067]],
  "species": ["Nd", "Nd", "Nd", "Nd", "S", "S", "S", "S", "S", "S", "S", "S"],
  "frac_coords": [[0.224, 0.211, 0.371], [0.224, 0.289, 0.871], [0.776, 0.711, 0.129], [0.776, 0.789, 0.629], [0.133, 0.739, 0.126], [0.133, 0.761, 0.626], [0.497, 0.656, 0.392], [0.497, 0.844, 0.892], [0.503, 0.156, 0.108], [0.503, 0.344, 0.608], [0.867, 0.239, 0.374], [0.867, 0.261, 0.874]],
  "formation_energy_kj_per_mol_fu": -600,
  "sg": "P2_1/c (14)",
  "volume_a3_per_cell": 266,
  "energy_corrected_mp2020_ev_per_atom": -6.42,
  "total_energy_ev_per_atom": -6.09
}

Repeat the fourth record exactly.
{
  "formula": "NdS2",
  "functional": "PBE",
  "state": "relaxed",
  "lattice": [[8.146, 0.000, 0.000], [0.000, 4.049, 0.000], [-0.018, 0.000, 8.067]],
  "species": ["Nd", "Nd", "Nd", "Nd", "S", "S", "S", "S", "S", "S", "S", "S"],
  "frac_coords": [[0.224, 0.211, 0.371], [0.224, 0.289, 0.871], [0.776, 0.711, 0.129], [0.776, 0.789, 0.629], [0.133, 0.739, 0.126], [0.133, 0.761, 0.626], [0.497, 0.656, 0.392], [0.497, 0.844, 0.892], [0.503, 0.156, 0.108], [0.503, 0.344, 0.608], [0.867, 0.239, 0.374], [0.867, 0.261, 0.874]],
  "formation_energy_kj_per_mol_fu": -600,
  "sg": "P2_1/c (14)",
  "volume_a3_per_cell": 266,
  "energy_corrected_mp2020_ev_per_atom": -6.42,
  "total_energy_ev_per_atom": -6.09
}